1.
KZnBr3O2 after structural relaxation. Source: the Materials Project database, functional PBE.

```
KZnBr3O2
1.0
6.7808 0.0000 0.0000
0.0000 13.1664 0.0000
-4.9291 0.0000 10.1097
K Zn Br O
4 4 12 8
Direct
0.2245 0.1765 0.4878
0.2245 0.3235 0.9878
0.7755 0.6765 0.0122
0.7755 0.8235 0.5122
0.4935 0.0478 0.2507
0.4935 0.4522 0.7507
0.5065 0.5478 0.2493
0.5065 0.9522 0.7493
0.1371 0.1143 0.1565
0.1371 0.3857 0.6565
0.2631 0.5912 0.0268
0.2631 0.9088 0.5268
0.4146 0.0977 0.8330
0.4146 0.4023 0.3330
0.5854 0.5977 0.6670
0.5854 0.9023 0.1670
0.7369 0.0912 0.4732
0.7369 0.4088 0.9732
0.8629 0.6143 0.3435
0.8629 0.8857 0.8435
0.1969 0.7175 0.7360
0.1969 0.7825 0.2360
0.3244 0.7222 0.3167
0.3244 0.7778 0.8167
0.6756 0.2222 0.1833
0.6756 0.2778 0.6833
0.8031 0.2175 0.7640
0.8031 0.2825 0.2640
```

Summary:
E_form	-6.16	eV per formula unit
M_tot	2.0	μB/f.u.
excess energy over the best structure of this formula in the dataset	66	kJ/mol of formula units

2.
Sr2YCu2BiO7 after structural relaxation. Source: the Materials Project database, functional PBE.

```
Sr2YCu2BiO7
1.0
-12.6175 2.7168 2.7078
12.6175 -2.7168 2.7078
12.6175 2.7168 -2.7078
Sr Y Cu Bi O
4 2 4 2 14
Direct
0.0027 0.1388 0.1416
0.0027 0.3612 0.3639
0.9973 0.6388 0.6361
0.9973 0.8612 0.8584
0.0027 0.0027 0.0000
0.0027 0.5027 0.5000
0.5004 0.5672 0.0657
0.5004 0.9346 0.4332
0.5014 0.0672 0.5668
0.5014 0.4346 0.9343
0.5207 0.2806 0.7401
0.5405 0.7806 0.2599
0.0002 0.1864 0.6962
0.0002 0.8040 0.3138
0.0016 0.3141 0.8019
0.0016 0.6997 0.1874
0.0299 0.1872 0.3427
0.4867 0.6500 0.1567
0.4867 0.8300 0.3367
0.4902 0.3040 0.3038
0.4902 0.6864 0.6862
0.4933 0.1500 0.6633
0.4933 0.3300 0.8433
0.5123 0.1997 0.1981
0.5123 0.8141 0.8126
0.8446 0.6872 0.6573
```

Summary:
E_form	-30.17	eV per formula unit
M_tot	0.1	μB/f.u.

3.
SmPu after structural relaxation. Source: the Materials Project database, functional PBE.

```
SmPu
1.0
3.6189 0.0000 0.0000
-1.8094 3.1340 0.0000
0.0000 0.0000 5.9160
Sm Pu
1 1
Direct
0.0000 0.0000 0.0000
0.3333 0.6667 0.5000
```

Summary:
E_form	0.38	eV per formula unit
M_tot	6.5	μB/f.u.

4.
Nb6AlSb after structural relaxation. Source: the Materials Project database, functional PBE.

```
Nb6AlSb
1.0
5.2643 0.0000 0.0000
0.0000 5.2643 0.0000
0.0000 0.0000 5.2643
Nb Al Sb
6 1 1
Direct
0.0000 0.2503 0.5000
0.0000 0.7497 0.5000
0.2503 0.5000 0.0000
0.5000 0.0000 0.2503
0.5000 0.0000 0.7497
0.7497 0.5000 0.0000
0.0000 0.0000 0.0000
0.5000 0.5000 0.5000
```

Summary:
E_form	-1.88	eV per formula unit
M_tot	0.8	μB/f.u.